No. 1
# Pb3O4

A relaxed Pb3O4 crystal (r2SCAN, the Materials Project database).

Geometry as CIF:
```
data_Pb3O4
_chemical_formula_sum 'Pb12 O16'
_symmetry_space_group_name_H-M 'P b a m'
_symmetry_Int_Tables_number 55
_symmetry_space_group_name_Hall '-P 2 2ab'
_cell_length_a 8.589
_cell_length_b 9.186
_cell_length_c 6.650
_cell_angle_alpha 90.00
_cell_angle_beta 90.00
_cell_angle_gamma 90.00
loop_
_atom_site_label
_atom_site_type_symbol
_atom_site_fract_x
_atom_site_fract_y
_atom_site_fract_z
Pb1 Pb 0.000 0.000 0.249
Pb2 Pb 0.132 0.329 0.500
Pb3 Pb 0.155 0.655 0.000
O1 O 0.098 0.871 0.500
O2 O 0.140 0.909 0.000
O3 O 0.172 0.171 0.249
```

Crystal system: orthorhombic
ΔE to the lowest computed polymorph: 0.000 eV per atom
Density: 8.68 Mg/m³
Calculated volume: 18.738 Å³/atom
DFT formation energy: -1.173 eV per atom

***

No. 2
# Pd2PbO4

A relaxed Pd2PbO4 crystal (r2SCAN, the Materials Project database).

Geometry as CIF:
```
data_Pd2PbO4
_chemical_formula_sum 'Pd8 Pb4 O16'
_symmetry_space_group_name_H-M 'I 41/a'
_symmetry_Int_Tables_number 88
_cell_length_a 5.837
_cell_length_b 5.837
_cell_length_c 10.083
_cell_angle_alpha 90.00
_cell_angle_beta 90.00
_cell_angle_gamma 90.00
loop_
_symmetry_equiv_pos_as_xyz
'x,y,z'
'-x,-y,-z'
'-y+3/4,x+1/4,z+1/4'
'y+3/4,-x+1/4,-z+1/4'
'-x+1/2,-y,z+1/2'
'x+1/2,y,-z+1/2'
'y+3/4,-x+3/4,z+3/4'
'-y+3/4,x+3/4,-z+3/4'
'x+1/2,y+1/2,z+1/2'
'-x+1/2,-y+1/2,-z+1/2'
'-y+1/4,x+3/4,z+3/4'
'y+1/4,-x+3/4,-z+3/4'
'-x,-y+1/2,z'
'x,y+1/2,-z'
'y+1/4,-x+1/4,z+1/4'
'-y+1/4,x+1/4,-z+1/4'
loop_
_atom_site_label
_atom_site_type_symbol
_atom_site_fract_x
_atom_site_fract_y
_atom_site_fract_z
Pd1 Pd 0.000 0.000 0.000
Pb1 Pb 0.000 0.250 0.625
O1 O 0.161 0.053 0.827
```

Crystal system: tetragonal
Density: 9.36 Mg/m³
Calculated volume: 12.271 Å³/atom
DFT formation energy: -0.822 eV per atom

***

No. 3
# Pt2PbO4

A relaxed Pt2PbO4 crystal (r2SCAN, the Materials Project database).

Geometry as CIF:
```
data_Pt2PbO4
_chemical_formula_sum 'Pt4 Pb2 O8'
_symmetry_space_group_name_H-M 'P -1'
_symmetry_Int_Tables_number 2
_symmetry_space_group_name_Hall '-P 1'
_cell_length_a 5.568
_cell_length_b 6.155
_cell_length_c 6.689
_cell_angle_alpha 115.48
_cell_angle_beta 97.08
_cell_angle_gamma 108.80
loop_
_atom_site_label
_atom_site_type_symbol
_atom_site_fract_x
_atom_site_fract_y
_atom_site_fract_z
Pt1 Pt 0.000 0.000 0.000
Pt2 Pt 0.000 0.000 0.500
Pt3 Pt 0.000 0.500 0.000
Pt4 Pt 0.500 0.500 0.000
Pb1 Pb 0.358 0.749 0.639
O1 O 0.020 0.360 0.224
O2 O 0.134 0.894 0.224
O3 O 0.337 0.335 0.656
O4 O 0.375 0.157 0.996
```

Crystal system: triclinic
Density: 11.78 Mg/m³
Calculated volume: 13.320 Å³/atom
DFT formation energy: -0.866 eV per atom

***

No. 4
# PtPb2O4

A relaxed PtPb2O4 crystal (r2SCAN, the Materials Project database).

Geometry as CIF:
```
data_PtPb2O4
_chemical_formula_sum 'Pt4 Pb8 O16'
_symmetry_space_group_name_H-M 'P b a m'
_symmetry_Int_Tables_number 55
_symmetry_space_group_name_Hall '-P 2 2ab'
_cell_length_a 7.972
_cell_length_b 9.145
_cell_length_c 6.337
_cell_angle_alpha 90.00
_cell_angle_beta 90.00
_cell_angle_gamma 90.00
loop_
_atom_site_label
_atom_site_type_symbol
_atom_site_fract_x
_atom_site_fract_y
_atom_site_fract_z
Pt1 Pt 0.000 0.000 0.249
Pb1 Pb 0.109 0.327 0.500
Pb2 Pb 0.139 0.656 0.000
O1 O 0.108 0.896 0.500
O2 O 0.126 0.911 0.000
O3 O 0.167 0.166 0.250
```

Crystal system: orthorhombic
Density: 9.68 Mg/m³
Calculated volume: 16.500 Å³/atom
DFT formation energy: -1.026 eV per atom

***

No. 5
# Rb2PbO2

A relaxed Rb2PbO2 crystal (r2SCAN, the Materials Project database).

Geometry as CIF:
```
data_Rb2PbO2
_chemical_formula_sum 'Rb8 Pb4 O8'
_symmetry_space_group_name_H-M 'P -1'
_symmetry_Int_Tables_number 2
_symmetry_space_group_name_Hall '-P 1'
_cell_length_a 7.573
_cell_length_b 7.805
_cell_length_c 10.416
_cell_angle_alpha 84.89
_cell_angle_beta 70.38
_cell_angle_gamma 61.08
loop_
_atom_site_label
_atom_site_type_symbol
_atom_site_fract_x
_atom_site_fract_y
_atom_site_fract_z
Rb1 Rb 0.065 0.451 0.173
Rb2 Rb 0.072 0.936 0.180
Rb3 Rb 0.241 0.263 0.494
Rb4 Rb 0.394 0.570 0.862
Pb1 Pb 0.304 0.708 0.472
Pb2 Pb 0.402 0.059 0.872
O1 O 0.069 0.213 0.980
O2 O 0.197 0.596 0.353
O3 O 0.342 0.485 0.626
O4 O 0.496 0.807 0.006
```

Crystal system: triclinic
Density: 5.39 Mg/m³
Calculated volume: 25.275 Å³/atom
DFT formation energy: -1.378 eV per atom

***

No. 6
# Rb4PbO3

A relaxed Rb4PbO3 crystal (r2SCAN, the Materials Project database).

Geometry as CIF:
```
data_Rb4PbO3
_chemical_formula_sum 'Rb32 Pb8 O24'
_symmetry_space_group_name_H-M 'P b c a'
_symmetry_Int_Tables_number 61
_symmetry_space_group_name_Hall '-P 2ac 2ab'
_cell_length_a 6.814
_cell_length_b 11.920
_cell_length_c 19.743
_cell_angle_alpha 90.00
_cell_angle_beta 90.00
_cell_angle_gamma 90.00
loop_
_atom_site_label
_atom_site_type_symbol
_atom_site_fract_x
_atom_site_fract_y
_atom_site_fract_z
Rb1 Rb 0.047 0.118 0.202
Rb2 Rb 0.127 0.672 0.653
Rb3 Rb 0.230 0.189 0.444
Rb4 Rb 0.249 0.057 0.035
Pb1 Pb 0.111 0.565 0.847
O1 O 0.037 0.599 0.158
O2 O 0.044 0.145 0.568
O3 O 0.122 0.016 0.900
```

Crystal system: orthorhombic
Density: 4.95 Mg/m³
Calculated volume: 25.058 Å³/atom
DFT formation energy: -1.312 eV per atom

***

No. 7
# Ru4Pb4O13

A relaxed Ru4Pb4O13 crystal (r2SCAN, the Materials Project database).

Geometry as CIF:
```
data_Ru4Pb4O13
_chemical_formula_sum 'Ru16 Pb16 O52'
_symmetry_space_group_name_H-M 'F -4 3 m'
_symmetry_Int_Tables_number 216
_symmetry_space_group_name_Hall 'F -4 2 3'
_cell_length_a 10.252
_cell_length_b 10.252
_cell_length_c 10.252
_cell_angle_alpha 90.00
_cell_angle_beta 90.00
_cell_angle_gamma 90.00
loop_
_atom_site_label
_atom_site_type_symbol
_atom_site_fract_x
_atom_site_fract_y
_atom_site_fract_z
Ru1 Ru 0.125 0.125 0.125
Pb1 Pb 0.127 0.127 0.627
O1 O 0.000 0.000 0.199
O2 O 0.000 0.000 0.500
O3 O 0.054 0.250 0.250
```

Crystal system: cubic
Density: 8.88 Mg/m³
Calculated volume: 12.826 Å³/atom
DFT formation energy: -1.251 eV per atom

***

No. 8
# ScVPb2O6

A relaxed ScVPb2O6 crystal (r2SCAN, the Materials Project database).

Geometry as CIF:
```
data_ScVPb2O6
_chemical_formula_sum 'Sc4 V4 Pb8 O24'
_symmetry_space_group_name_H-M 'F m -3 m'
_symmetry_Int_Tables_number 225
_symmetry_space_group_name_Hall '-F 4 2 3'
_cell_length_a 7.940
_cell_length_b 7.940
_cell_length_c 7.940
_cell_angle_alpha 90.00
_cell_angle_beta 90.00
_cell_angle_gamma 90.00
loop_
_atom_site_label
_atom_site_type_symbol
_atom_site_fract_x
_atom_site_fract_y
_atom_site_fract_z
Sc1 Sc 0.000 0.000 0.000
V1 V 0.000 0.000 0.500
Pb1 Pb 0.250 0.250 0.250
O1 O 0.000 0.000 0.263
```

Crystal system: cubic
Density: 8.05 Mg/m³
Calculated volume: 12.513 Å³/atom
DFT formation energy: -2.329 eV per atom